No. 1
# GGA+U MoH18C5N4O4, optimized geometry
data_MoH18C5N4O4
_space_group_name_H-M_alt 'P 21 3'
_space_group_IT_number 198
_space_group_name_Hall 'P 2ac 2ab 3'
_cell_length_a 11.026
_cell_length_b 11.026
_cell_length_c 11.026
_cell_angle_alpha 90.00
_cell_angle_beta 90.00
_cell_angle_gamma 90.00
loop_
_atom_site_label
_atom_site_fract_x
_atom_site_fract_y
_atom_site_fract_z
Mo1 0.001 0.001 0.001
H1 0.002 0.769 0.856
H2 0.003 0.665 0.735
H3 0.045 0.106 0.448
H4 0.063 0.293 0.070
H5 0.071 0.401 0.196
H6 0.132 0.746 0.355
C1 0.050 0.387 0.100
C2 0.138 0.638 0.862
C3 0.159 0.841 0.341
N1 0.038 0.691 0.818
N2 0.080 0.920 0.420
O1 0.045 0.134 0.917
O2 0.094 0.406 0.594
# ΔE_f   -0.524 eV/atom
# Crystal system   cubic
# ρ   1.46 g/cm3
# Corrected total energy (MP2020 scheme)   -0.4317 Ry/atom

No. 2
# GGA+U Tb2MgCr2O8, optimized geometry
data_Tb2MgCr2O8
_space_group_name_H-M_alt 'C 1 2 1'
_space_group_IT_number 5
_space_group_name_Hall 'C 2y'
_cell_length_a 6.399
_cell_length_b 10.355
_cell_length_c 6.212
_cell_angle_alpha 90.00
_cell_angle_beta 120.84
_cell_angle_gamma 90.00
loop_
_atom_site_label
_atom_site_fract_x
_atom_site_fract_y
_atom_site_fract_z
Tb1 0.000 0.000 0.000
Tb2 0.000 0.222 0.500
Mg1 0.000 0.712 0.000
Cr1 0.000 0.448 0.000
Cr2 0.000 0.723 0.500
O1 0.079 0.813 0.301
O2 0.117 0.365 0.835
O3 0.224 0.134 0.326
O4 0.246 0.571 0.158
# ΔE_f   -2.844 eV/atom
# Crystal system   monoclinic
# ρ   5.40 g/cm3
# Corrected total energy (MP2020 scheme)   -0.6034 Ry/atom

No. 3
# GGA+U Co3C7S2O7, optimized geometry
data_Co3C7S2O7
_space_group_name_H-M_alt 'P -1'
_space_group_IT_number 2
_space_group_name_Hall '-P 1'
_cell_length_a 9.505
_cell_length_b 11.824
_cell_length_c 13.605
_cell_angle_alpha 72.63
_cell_angle_beta 78.90
_cell_angle_gamma 70.13
loop_
_atom_site_label
_atom_site_fract_x
_atom_site_fract_y
_atom_site_fract_z
Co1 0.014 0.117 0.201
Co2 0.030 0.773 0.656
Co3 0.232 0.139 0.259
Co4 0.255 0.786 0.171
Co5 0.432 0.596 0.280
Co6 0.471 0.807 0.231
C1 0.024 0.245 0.455
C2 0.026 0.749 0.904
C3 0.062 0.620 0.736
C4 0.079 0.759 0.189
C5 0.143 0.935 0.788
C6 0.217 0.777 0.617
C7 0.251 0.280 0.173
C8 0.311 0.502 0.327
C9 0.331 0.760 0.048
C10 0.361 0.112 0.346
C11 0.388 0.223 0.871
C12 0.423 0.188 0.677
C13 0.429 0.457 0.634
C14 0.464 0.465 0.826
S1 0.088 0.034 0.353
S2 0.190 0.994 0.112
S3 0.285 0.759 0.330
S4 0.371 0.011 0.159
O1 0.036 0.259 0.796
O2 0.053 0.257 0.529
O3 0.054 0.663 0.973
O4 0.086 0.519 0.787
O5 0.231 0.442 0.360
O6 0.249 0.967 0.779
O7 0.264 0.374 0.122
O8 0.293 0.248 0.936
O9 0.338 0.493 0.577
O10 0.340 0.776 0.590
O11 0.355 0.190 0.614
O12 0.379 0.745 0.966
O13 0.394 0.510 0.892
O14 0.445 0.096 0.404
# ΔE_f   -0.713 eV/atom
# Crystal system   triclinic
# ρ   2.13 g/cm3
# Corrected total energy (MP2020 scheme)   -0.5508 Ry/atom

No. 4
# GGA+U Li9Mn2Co5O16, optimized geometry
data_Li9Mn2Co5O16
_space_group_name_H-M_alt 'P 1'
_space_group_IT_number 1
_space_group_name_Hall 'P 1'
_cell_length_a 5.188
_cell_length_b 5.946
_cell_length_c 10.258
_cell_angle_alpha 103.80
_cell_angle_beta 95.24
_cell_angle_gamma 109.90
loop_
_atom_site_label
_atom_site_fract_x
_atom_site_fract_y
_atom_site_fract_z
Li1 0.000 0.000 0.000
Li2 0.000 0.111 0.735
Li3 0.001 0.869 0.248
Li4 0.002 0.494 0.997
Li5 0.008 0.753 0.496
Li6 0.013 0.234 0.491
Li7 0.495 0.178 0.614
Li8 0.991 0.604 0.735
Li9 0.997 0.367 0.246
Mn1 0.505 0.548 0.867
Mn2 0.506 0.051 0.866
Co1 0.493 0.307 0.370
Co2 0.494 0.815 0.374
Co3 0.499 0.429 0.120
Co4 0.501 0.680 0.617
Co5 0.505 0.929 0.122
O1 0.264 0.293 0.936
O2 0.266 0.044 0.427
O3 0.266 0.555 0.441
O4 0.270 0.424 0.689
O5 0.274 0.165 0.183
O6 0.277 0.671 0.189
O7 0.290 0.882 0.684
O8 0.296 0.769 0.934
O9 0.701 0.481 0.551
O10 0.718 0.344 0.814
O11 0.720 0.562 0.299
O12 0.726 0.938 0.552
O13 0.729 0.066 0.302
O14 0.731 0.188 0.053
O15 0.733 0.688 0.050
O16 0.744 0.808 0.799
# ΔE_f   -1.813 eV/atom
# Crystal system   triclinic
# ρ   4.23 g/cm3
# Corrected total energy (MP2020 scheme)   -0.4783 Ry/atom

No. 5
# GGA+U Li6Co2OF11, optimized geometry
data_Li6Co2OF11
_space_group_name_H-M_alt 'P 1'
_space_group_IT_number 1
_space_group_name_Hall 'P 1'
_cell_length_a 5.127
_cell_length_b 5.452
_cell_length_c 8.696
_cell_angle_alpha 106.84
_cell_angle_beta 90.28
_cell_angle_gamma 117.98
loop_
_atom_site_label
_atom_site_fract_x
_atom_site_fract_y
_atom_site_fract_z
Li1 0.000 0.000 0.000
Li2 0.027 0.485 0.516
Li3 0.290 0.203 0.647
Li4 0.508 0.259 0.271
Li5 0.767 0.456 0.915
Li6 0.836 0.980 0.401
Co1 0.318 0.750 0.155
Co2 0.497 0.712 0.759
O1 0.271 0.733 0.967
F1 0.099 0.494 0.724
F2 0.104 0.963 0.192
F3 0.199 0.231 0.458
F4 0.400 0.333 0.856
F5 0.408 0.832 0.349
F6 0.577 0.041 0.629
F7 0.588 0.587 0.112
F8 0.699 0.129 0.061
F9 0.707 0.626 0.560
F10 0.891 0.873 0.803
F11 0.940 0.417 0.289
# ΔE_f   -2.105 eV/atom
# Crystal system   triclinic
# ρ   3.15 g/cm3
# Corrected total energy (MP2020 scheme)   -0.3446 Ry/atom

No. 6
# GGA+U ZnFe8Co3O16, optimized geometry
data_ZnFe8Co3O16
_space_group_name_H-M_alt 'P -4 m 2'
_space_group_IT_number 115
_space_group_name_Hall 'P -4 -2'
_cell_length_a 6.044
_cell_length_b 6.044
_cell_length_c 8.548
_cell_angle_alpha 90.00
_cell_angle_beta 90.00
_cell_angle_gamma 90.00
loop_
_atom_site_label
_atom_site_fract_x
_atom_site_fract_y
_atom_site_fract_z
Zn1 0.000 0.000 0.000
Fe1 0.000 0.250 0.375
Fe2 0.250 0.500 0.125
Co1 0.000 0.500 0.750
Co2 0.500 0.500 0.500
O1 0.000 0.230 0.615
O2 0.000 0.271 0.135
O3 0.229 0.500 0.364
O4 0.271 0.500 0.885
# ΔE_f   -1.617 eV/atom
# Crystal system   tetragonal
# ρ   5.02 g/cm3
# Corrected total energy (MP2020 scheme)   -0.5638 Ry/atom

No. 7
# GGA+U Ba3MnO5, optimized geometry
data_Ba3MnO5
_space_group_name_H-M_alt 'I 4/m c m'
_space_group_IT_number 140
_space_group_name_Hall '-I 4 2c'
_cell_length_a 7.333
_cell_length_b 7.333
_cell_length_c 12.104
_cell_angle_alpha 90.00
_cell_angle_beta 90.00
_cell_angle_gamma 90.00
loop_
_atom_site_label
_atom_site_fract_x
_atom_site_fract_y
_atom_site_fract_z
Ba1 0.000 0.000 0.250
Ba2 0.178 0.322 0.000
Mn1 0.000 0.500 0.250
O1 0.000 0.000 0.000
O2 0.131 0.369 0.349
# ΔE_f   -2.610 eV/atom
# Crystal system   tetragonal
# ρ   5.58 g/cm3
# Corrected total energy (MP2020 scheme)   -0.5157 Ry/atom

No. 8
# GGA+U Sm4MgTi2Mn2O12, optimized geometry
data_Sm4MgTi2Mn2O12
_space_group_name_H-M_alt 'P 1'
_space_group_IT_number 1
_space_group_name_Hall 'P 1'
_cell_length_a 5.548
_cell_length_b 6.100
_cell_length_c 8.065
_cell_angle_alpha 87.83
_cell_angle_beta 87.96
_cell_angle_gamma 87.17
loop_
_atom_site_label
_atom_site_fract_x
_atom_site_fract_y
_atom_site_fract_z
Sm1 0.000 0.000 0.000
Sm2 0.077 0.847 0.477
Sm3 0.543 0.324 0.474
Sm4 0.627 0.544 0.044
Mg1 0.434 0.194 0.877
Ti1 0.078 0.416 0.252
Ti2 0.535 0.825 0.720
Mn1 0.031 0.442 0.737
Mn2 0.559 0.926 0.258
O1 0.210 0.370 0.010
O2 0.253 0.123 0.314
O3 0.285 0.091 0.680
O4 0.359 0.596 0.656
O5 0.375 0.603 0.293
O6 0.432 0.892 0.973
O7 0.688 0.950 0.508
O8 0.758 0.265 0.845
O9 0.770 0.231 0.205
O10 0.860 0.749 0.813
O11 0.895 0.738 0.195
O12 0.937 0.466 0.479
# ΔE_f   -3.133 eV/atom
# Crystal system   triclinic
# ρ   6.24 g/cm3
# Corrected total energy (MP2020 scheme)   -0.6292 Ry/atom